1.
# Sr2TbZrO6 GGA-PBE optimized geometry
# * DFT total energy: -75.20 eV per formula unit
# * theoretical density: 5.394 g/cm3
# * ΔE_f: -3.307 eV per atom
data_Sr2TbZrO6
_chemical_formula_sum 'Sr8 Tb4 Zr4 O24'
_symmetry_space_group_name_H-M 'F m -3 m'
_symmetry_Int_Tables_number 225
_symmetry_space_group_name_Hall '-F 4 2 3'
_cell_length_a 8.627
_cell_length_b 8.627
_cell_length_c 8.627
_cell_angle_alpha 90.00
_cell_angle_beta 90.00
_cell_angle_gamma 90.00
loop_
_atom_site_label
_atom_site_fract_x
_atom_site_fract_y
_atom_site_fract_z
_atom_site_occupancy
Sr1 0.250 0.250 0.250 1
Tb1 0.000 0.000 0.000 1
Zr1 0.000 0.000 0.500 1
O1 0.000 0.000 0.257 1

***

2.
# Sr2TcO4 GGA-PBE optimized geometry
# * DFT total energy: -49.48 eV per formula unit
# * theoretical density: 5.658 g/cm3
# * ΔE_f: -2.671 eV per atom
data_Sr2TcO4
_chemical_formula_sum 'Sr4 Tc2 O8'
_symmetry_space_group_name_H-M 'I 4/m m m'
_symmetry_Int_Tables_number 139
_symmetry_space_group_name_Hall '-I 4 2'
_cell_length_a 3.890
_cell_length_b 3.890
_cell_length_c 13.082
_cell_angle_alpha 90.00
_cell_angle_beta 90.00
_cell_angle_gamma 90.00
loop_
_atom_site_label
_atom_site_fract_x
_atom_site_fract_y
_atom_site_fract_z
_atom_site_occupancy
Sr1 0.000 0.000 0.149 1
Tc1 0.000 0.000 0.500 1
O1 0.000 0.000 0.336 1
O2 0.000 0.500 0.000 1

***

3.
# SrTcO3 GGA-PBE optimized geometry
# * DFT total energy: -37.11 eV per formula unit
# * theoretical density: 6.133 g/cm3
# * ΔE_f: -2.456 eV per atom
data_SrTcO3
_chemical_formula_sum 'Sr4 Tc4 O12'
_symmetry_space_group_name_H-M 'P n m a'
_symmetry_Int_Tables_number 62
_symmetry_space_group_name_Hall '-P 2ac 2n'
_cell_length_a 5.622
_cell_length_b 7.956
_cell_length_c 5.657
_cell_angle_alpha 90.00
_cell_angle_beta 90.00
_cell_angle_gamma 90.00
loop_
_atom_site_label
_atom_site_fract_x
_atom_site_fract_y
_atom_site_fract_z
_atom_site_occupancy
Sr1 0.004 0.250 0.002 1
Tc1 0.000 0.000 0.500 1
O1 0.002 0.750 0.453 1
O2 0.241 0.525 0.760 1

***

Repeat the third record exactly.
# SrTcO3 GGA-PBE optimized geometry
# * DFT total energy: -37.11 eV per formula unit
# * theoretical density: 6.133 g/cm3
# * ΔE_f: -2.456 eV per atom
data_SrTcO3
_chemical_formula_sum 'Sr4 Tc4 O12'
_symmetry_space_group_name_H-M 'P n m a'
_symmetry_Int_Tables_number 62
_symmetry_space_group_name_Hall '-P 2ac 2n'
_cell_length_a 5.622
_cell_length_b 7.956
_cell_length_c 5.657
_cell_angle_alpha 90.00
_cell_angle_beta 90.00
_cell_angle_gamma 90.00
loop_
_atom_site_label
_atom_site_fract_x
_atom_site_fract_y
_atom_site_fract_z
_atom_site_occupancy
Sr1 0.004 0.250 0.002 1
Tc1 0.000 0.000 0.500 1
O1 0.002 0.750 0.453 1
O2 0.241 0.525 0.760 1

***

- Which value of theoretical density does entry 1 give?
  5.394 g/cm3

***

- The lowest DFT total energy belongs to which entry?
  Sr2TbZrO6

***

- Among the records above, which one has the lowest DFT total energy?
  Sr2TbZrO6